[1]
Sr2MgZrCrO6 | PBE+U | relaxed

Lattice parameters (Å, degrees): 5.788 5.855 6.405 91.75 115.48 117.13
Fractional coordinates of all 11 atoms:
Sr (0.000, 0.000, 0.000)
Sr (0.185, 0.631, 0.618)
Mg (0.488, 0.289, 0.529)
Zr (0.621, 0.866, 0.326)
Cr (0.719, 0.390, 0.051)
O (0.068, 0.160, 0.434)
O (0.163, 0.671, 0.214)
O (0.547, 0.191, 0.260)
O (0.563, 0.654, 0.035)
O (0.636, 0.124, 0.773)
O (0.737, 0.685, 0.597)

Output
* M_tot: 3.998 μB per formula unit
* ΔH_f (0 K): -2.953 eV per atom



[2]
Sr10Mg2Fe3Mo5O30 | PBE+U | relaxed

Lattice parameters (Å, degrees): 5.649 5.667 46.302 93.20 90.12 119.89
Fractional coordinates of all 100 atoms:
Sr (0.026, 0.050, 0.075)
Sr (0.078, 0.158, 0.225)
Sr (0.124, 0.248, 0.375)
Sr (0.180, 0.358, 0.525)
Sr (0.224, 0.447, 0.675)
Sr (0.274, 0.551, 0.825)
Sr (0.325, 0.650, 0.975)
Sr (0.378, 0.750, 0.125)
Sr (0.428, 0.857, 0.274)
Sr (0.470, 0.940, 0.425)
Sr (0.530, 0.060, 0.575)
Sr (0.572, 0.143, 0.726)
Sr (0.622, 0.250, 0.875)
Sr (0.675, 0.350, 0.025)
Sr (0.726, 0.449, 0.175)
Sr (0.776, 0.553, 0.325)
Sr (0.820, 0.642, 0.475)
Sr (0.876, 0.752, 0.625)
Sr (0.922, 0.842, 0.775)
Sr (0.974, 0.950, 0.925)
Mg (0.051, 0.100, 0.150)
Mg (0.350, 0.700, 0.050)
Mg (0.650, 0.300, 0.950)
Mg (0.949, 0.900, 0.850)
Fe (0.150, 0.297, 0.450)
Fe (0.250, 0.499, 0.750)
Fe (0.450, 0.900, 0.350)
Fe (0.550, 0.100, 0.650)
Fe (0.750, 0.501, 0.250)
Fe (0.850, 0.703, 0.550)
Mo (0.000, 0.000, 0.000)
Mo (0.101, 0.203, 0.300)
Mo (0.202, 0.405, 0.600)
Mo (0.299, 0.600, 0.900)
Mo (0.400, 0.802, 0.199)
Mo (0.500, 0.000, 0.500)
Mo (0.600, 0.198, 0.801)
Mo (0.701, 0.400, 0.100)
Mo (0.798, 0.595, 0.400)
Mo (0.899, 0.797, 0.700)
O (0.012, 0.433, 0.928)
O (0.018, 0.459, 0.421)
O (0.035, 0.072, 0.575)
O (0.067, 0.130, 0.725)
O (0.081, 0.723, 0.880)
O (0.099, 0.776, 0.371)
O (0.101, 0.638, 0.228)
O (0.120, 0.661, 0.721)
O (0.128, 0.262, 0.876)
O (0.170, 0.338, 0.024)
O (0.188, 0.925, 0.179)
O (0.200, 0.977, 0.671)
O (0.206, 0.845, 0.528)
O (0.217, 0.877, 0.020)
O (0.230, 0.455, 0.176)
O (0.268, 0.537, 0.325)
O (0.273, 0.113, 0.479)
O (0.287, 0.167, 0.972)
O (0.307, 0.033, 0.828)
O (0.321, 0.639, 0.476)
O (0.326, 0.071, 0.321)
O (0.369, 0.739, 0.625)
O (0.382, 0.316, 0.778)
O (0.402, 0.385, 0.271)
O (0.414, 0.233, 0.128)
O (0.424, 0.844, 0.776)
O (0.428, 0.273, 0.621)
O (0.469, 0.939, 0.924)
O (0.484, 0.523, 0.080)
O (0.497, 0.413, 0.429)
O (0.503, 0.587, 0.571)
O (0.516, 0.477, 0.920)
O (0.531, 0.061, 0.076)
O (0.572, 0.727, 0.379)
O (0.576, 0.156, 0.224)
O (0.586, 0.767, 0.872)
O (0.598, 0.615, 0.729)
O (0.618, 0.684, 0.222)
O (0.631, 0.261, 0.375)
O (0.674, 0.929, 0.679)
O (0.679, 0.361, 0.524)
O (0.693, 0.967, 0.172)
O (0.713, 0.833, 0.028)
O (0.727, 0.887, 0.521)
O (0.732, 0.463, 0.675)
O (0.770, 0.545, 0.824)
O (0.783, 0.123, 0.980)
O (0.794, 0.155, 0.472)
O (0.800, 0.023, 0.329)
O (0.812, 0.075, 0.821)
O (0.830, 0.662, 0.976)
O (0.872, 0.738, 0.124)
O (0.880, 0.339, 0.279)
O (0.899, 0.362, 0.772)
O (0.901, 0.224, 0.629)
O (0.919, 0.277, 0.120)
O (0.933, 0.870, 0.275)
O (0.965, 0.928, 0.425)
O (0.982, 0.541, 0.579)
O (0.988, 0.567, 0.072)

Output
* M_tot: 17.997 μB per formula unit
* ΔH_f (0 K): -2.663 eV per atom



[3]
Ca4Mn2Al2O11 | PBE+U | relaxed

Lattice parameters (Å, degrees): 15.290 15.290 5.356 99.99 99.99 151.20
Fractional coordinates of all 38 atoms:
Ca (0.051, 0.436, 0.492)
Ca (0.145, 0.287, 0.447)
Ca (0.287, 0.145, 0.447)
Ca (0.436, 0.051, 0.492)
Ca (0.564, 0.949, 0.508)
Ca (0.713, 0.855, 0.553)
Ca (0.855, 0.713, 0.553)
Ca (0.949, 0.564, 0.508)
Mn (0.136, 0.385, 0.008)
Mn (0.385, 0.136, 0.008)
Mn (0.615, 0.864, 0.992)
Mn (0.864, 0.615, 0.992)
Al (0.000, 0.500, 0.000)
Al (0.320, 0.320, 0.987)
Al (0.500, 0.000, 0.000)
Al (0.680, 0.680, 0.013)
O (0.129, 0.871, 0.500)
O (0.130, 0.870, 0.000)
O (0.136, 0.506, 0.067)
O (0.144, 0.249, 0.960)
O (0.243, 0.757, 0.000)
O (0.243, 0.757, 0.500)
O (0.249, 0.144, 0.960)
O (0.348, 0.348, 0.670)
O (0.388, 0.612, 0.500)
O (0.391, 0.609, 0.000)
O (0.494, 0.864, 0.933)
O (0.506, 0.136, 0.067)
O (0.609, 0.391, 0.000)
O (0.612, 0.388, 0.500)
O (0.652, 0.652, 0.330)
O (0.751, 0.856, 0.040)
O (0.757, 0.243, 0.000)
O (0.757, 0.243, 0.500)
O (0.856, 0.751, 0.040)
O (0.864, 0.494, 0.933)
O (0.870, 0.130, 0.000)
O (0.871, 0.129, 0.500)

Output
* M_tot: 6.024 μB per formula unit
* ΔH_f (0 K): -2.899 eV per atom